[1]
VH6CNO3 | PBE+U | relaxed

Summary:
DFT total energy in Ry per atom: -0.4294
Total moment in Bohr magnetons per cell: 0.192
Symmetry: Pna2_1
Crystal system: orthorhombic

```
VH6CNO3
1.0
12.261 0.000 0.000
0.000 19.133 0.000
0.000 0.000 8.662
V H C N O
16 96 16 16 48
Direct
0.218 0.053 0.000
0.221 0.226 0.495
0.239 0.726 0.399
0.248 0.055 0.412
0.252 0.555 0.912
0.261 0.226 0.899
0.279 0.726 0.995
0.282 0.553 0.500
0.718 0.447 0.000
0.721 0.274 0.495
0.739 0.774 0.399
0.748 0.445 0.412
0.752 0.945 0.912
0.761 0.274 0.899
0.779 0.774 0.995
0.782 0.947 0.500
0.002 0.119 0.287
0.013 0.244 0.252
0.018 0.456 0.086
0.018 0.600 0.743
0.020 0.841 0.294
0.027 0.968 0.090
0.036 0.364 0.068
0.036 0.678 0.233
0.039 0.435 0.790
0.042 0.316 0.569
0.043 0.762 0.570
0.048 0.041 0.758
0.056 0.622 0.079
0.062 0.888 0.600
0.075 0.091 0.602
0.079 0.203 0.110
0.100 0.851 0.123
0.116 0.431 0.614
0.128 0.904 0.290
0.129 0.842 0.755
0.147 0.372 0.768
0.158 0.457 0.288
0.171 0.369 0.269
0.209 0.424 0.124
0.291 0.924 0.624
0.329 0.869 0.769
0.342 0.957 0.788
0.353 0.872 0.268
0.371 0.342 0.255
0.372 0.404 0.790
0.384 0.931 0.114
0.400 0.351 0.623
0.421 0.703 0.610
0.425 0.591 0.102
0.438 0.388 0.100
0.444 0.122 0.579
0.452 0.541 0.258
0.457 0.262 0.070
0.458 0.816 0.069
0.461 0.935 0.290
0.464 0.178 0.733
0.464 0.864 0.568
0.473 0.468 0.590
0.480 0.341 0.794
0.482 0.100 0.243
0.482 0.956 0.586
0.487 0.744 0.752
0.498 0.619 0.787
0.502 0.381 0.287
0.513 0.256 0.252
0.518 0.044 0.086
0.518 0.900 0.743
0.520 0.659 0.294
0.527 0.532 0.090
0.536 0.136 0.068
0.536 0.822 0.233
0.539 0.065 0.790
0.542 0.184 0.569
0.543 0.738 0.570
0.548 0.459 0.758
0.556 0.878 0.079
0.562 0.612 0.600
0.575 0.409 0.602
0.579 0.297 0.110
0.600 0.649 0.123
0.616 0.069 0.614
0.628 0.596 0.290
0.629 0.658 0.755
0.647 0.128 0.768
0.658 0.043 0.288
0.671 0.131 0.269
0.709 0.076 0.124
0.791 0.576 0.624
0.829 0.631 0.769
0.842 0.543 0.788
0.853 0.628 0.268
0.871 0.158 0.255
0.872 0.096 0.790
0.884 0.569 0.114
0.900 0.149 0.623
0.921 0.797 0.610
0.925 0.909 0.102
0.938 0.112 0.100
0.944 0.378 0.579
0.952 0.959 0.258
0.957 0.238 0.070
0.958 0.684 0.069
0.961 0.565 0.290
0.964 0.322 0.733
0.964 0.636 0.568
0.973 0.032 0.590
0.980 0.159 0.794
0.982 0.400 0.243
0.982 0.544 0.586
0.987 0.756 0.752
0.998 0.881 0.787
0.039 0.408 0.147
0.050 0.855 0.702
0.064 0.878 0.222
0.082 0.400 0.709
0.418 0.900 0.209
0.436 0.378 0.722
0.450 0.355 0.202
0.461 0.908 0.647
0.539 0.092 0.147
0.550 0.645 0.702
0.564 0.622 0.222
0.582 0.100 0.709
0.918 0.600 0.209
0.936 0.122 0.722
0.950 0.145 0.202
0.961 0.592 0.647
0.002 0.212 0.157
0.002 0.350 0.644
0.013 0.068 0.665
0.152 0.415 0.211
0.348 0.915 0.711
0.487 0.568 0.165
0.498 0.712 0.657
0.498 0.850 0.144
0.502 0.150 0.644
0.502 0.288 0.157
0.513 0.432 0.665
0.652 0.085 0.211
0.848 0.585 0.711
0.987 0.932 0.165
0.998 0.650 0.144
0.998 0.788 0.657
0.101 0.721 0.412
0.105 0.009 0.943
0.123 0.561 0.973
0.135 0.285 0.410
0.153 0.737 0.932
0.172 0.136 0.464
0.172 0.523 0.408
0.187 0.988 0.499
0.194 0.146 0.962
0.213 0.289 0.010
0.215 0.241 0.702
0.238 0.044 0.204
0.262 0.544 0.704
0.285 0.741 0.202
0.287 0.789 0.510
0.306 0.646 0.462
0.313 0.488 0.999
0.328 0.023 0.908
0.328 0.636 0.964
0.347 0.237 0.432
0.365 0.785 0.910
0.377 0.061 0.473
0.395 0.509 0.443
0.399 0.221 0.912
0.601 0.779 0.412
0.605 0.491 0.943
0.623 0.939 0.973
0.635 0.215 0.410
0.653 0.763 0.932
0.672 0.364 0.464
0.672 0.977 0.408
0.687 0.512 0.499
0.694 0.354 0.962
0.713 0.211 0.010
0.715 0.259 0.702
0.738 0.456 0.204
0.762 0.956 0.704
0.785 0.759 0.202
0.787 0.711 0.510
0.806 0.854 0.462
0.813 0.012 0.999
0.828 0.477 0.908
0.828 0.864 0.964
0.847 0.263 0.432
0.865 0.715 0.910
0.877 0.439 0.473
0.895 0.991 0.443
0.899 0.279 0.912
```

***

[2]
NiH8C2O10 | PBE+U | relaxed

Summary:
DFT total energy in Ry per atom: -0.4151
Total moment in Bohr magnetons per cell: 0.001
Symmetry: P2_1/c
Crystal system: monoclinic

```
NiH8C2O10
1.0
6.280 0.000 0.000
0.000 5.976 0.000
-4.796 0.000 10.929
Ni H C O
2 16 4 20
Direct
0.000 0.000 0.000
0.000 0.500 0.500
0.171 0.145 0.860
0.171 0.355 0.360
0.214 0.189 0.484
0.214 0.311 0.984
0.283 0.683 0.071
0.283 0.817 0.571
0.421 0.587 0.618
0.421 0.913 0.118
0.579 0.087 0.882
0.579 0.413 0.382
0.717 0.183 0.429
0.717 0.317 0.929
0.786 0.689 0.016
0.786 0.811 0.516
0.829 0.645 0.640
0.829 0.855 0.140
0.254 0.155 0.676
0.254 0.345 0.176
0.746 0.655 0.824
0.746 0.845 0.324
0.095 0.213 0.914
0.095 0.287 0.414
0.119 0.168 0.150
0.119 0.332 0.650
0.286 0.652 0.546
0.286 0.848 0.046
0.311 0.075 0.784
0.311 0.425 0.284
0.323 0.068 0.598
0.323 0.432 0.098
0.677 0.568 0.902
0.677 0.932 0.402
0.689 0.575 0.716
0.689 0.925 0.216
0.714 0.152 0.954
0.714 0.348 0.454
0.881 0.668 0.350
0.881 0.832 0.850
0.905 0.713 0.586
0.905 0.787 0.086
```

***

[3]
NiH6C2O6 | PBE+U | relaxed

Summary:
DFT total energy in Ry per atom: -0.4234
Total moment in Bohr magnetons per cell: 12.000
ΔE to the lowest computed polymorph in meV/atom: 0
Symmetry: P2_1/c
Crystal system: monoclinic

```
NiH6C2O6
1.0
9.882 0.000 0.000
0.000 5.452 0.000
-4.241 0.000 14.538
Ni H C O
6 36 12 36
Direct
0.000 0.000 0.000
0.000 0.500 0.500
0.456 0.126 0.322
0.456 0.374 0.822
0.544 0.626 0.178
0.544 0.874 0.678
0.044 0.653 0.298
0.044 0.847 0.798
0.053 0.209 0.376
0.053 0.291 0.876
0.121 0.071 0.470
0.121 0.429 0.970
0.143 0.008 0.755
0.143 0.492 0.255
0.296 0.746 0.836
0.296 0.754 0.336
0.317 0.107 0.075
0.317 0.393 0.575
0.323 0.248 0.444
0.323 0.252 0.944
0.450 0.653 0.340
0.450 0.847 0.840
0.484 0.236 0.504
0.484 0.264 0.004
0.516 0.736 0.996
0.516 0.764 0.496
0.550 0.153 0.160
0.550 0.347 0.660
0.677 0.748 0.056
0.677 0.752 0.556
0.683 0.607 0.425
0.683 0.893 0.925
0.704 0.246 0.664
0.704 0.254 0.164
0.857 0.508 0.745
0.857 0.992 0.245
0.879 0.571 0.030
0.879 0.929 0.530
0.947 0.709 0.124
0.947 0.791 0.624
0.956 0.153 0.202
0.956 0.347 0.702
0.208 0.114 0.174
0.208 0.386 0.674
0.264 0.738 0.086
0.264 0.762 0.586
0.316 0.515 0.633
0.316 0.985 0.133
0.684 0.015 0.867
0.684 0.485 0.367
0.736 0.238 0.414
0.736 0.262 0.914
0.792 0.614 0.326
0.792 0.886 0.826
0.080 0.136 0.128
0.080 0.364 0.628
0.107 0.660 0.258
0.107 0.840 0.758
0.118 0.233 0.439
0.118 0.267 0.939
0.148 0.728 0.023
0.148 0.772 0.523
0.254 0.211 0.253
0.254 0.289 0.753
0.342 0.553 0.109
0.342 0.947 0.609
0.397 0.714 0.864
0.397 0.786 0.364
0.421 0.225 0.943
0.421 0.275 0.443
0.451 0.532 0.696
0.451 0.968 0.196
0.549 0.032 0.804
0.549 0.468 0.304
0.579 0.725 0.557
0.579 0.775 0.057
0.603 0.214 0.636
0.603 0.286 0.136
0.658 0.053 0.391
0.658 0.447 0.891
0.746 0.711 0.247
0.746 0.789 0.747
0.852 0.228 0.477
0.852 0.272 0.977
0.882 0.733 0.061
0.882 0.767 0.561
0.893 0.160 0.242
0.893 0.340 0.742
0.920 0.636 0.372
0.920 0.864 0.872
```

***

[4]
NiH6C2O6 | PBE+U | relaxed

Summary:
DFT total energy in Ry per atom: -0.4229
Total moment in Bohr magnetons per cell: 8.000
ΔE to the lowest computed polymorph in meV/atom: 6
Symmetry: P2_1/c
Crystal system: monoclinic

```
NiH6C2O6
1.0
8.707 0.000 0.000
0.000 7.112 0.000
-1.213 0.000 9.230
Ni H C O
4 24 8 24
Direct
0.000 0.000 0.000
0.000 0.500 0.500
0.500 0.000 0.500
0.500 0.500 0.000
0.030 0.146 0.280
0.030 0.354 0.780
0.176 0.029 0.605
0.176 0.471 0.105
0.197 0.094 0.238
0.197 0.406 0.738
0.264 0.599 0.452
0.264 0.901 0.952
0.283 0.119 0.992
0.283 0.381 0.492
0.429 0.708 0.724
0.429 0.792 0.224
0.571 0.208 0.776
0.571 0.292 0.276
0.717 0.619 0.508
0.717 0.881 0.008
0.736 0.099 0.048
0.736 0.401 0.548
0.803 0.594 0.262
0.803 0.906 0.762
0.824 0.529 0.895
0.824 0.971 0.395
0.970 0.646 0.220
0.970 0.854 0.720
0.178 0.616 0.061
0.178 0.884 0.561
0.462 0.225 0.226
0.462 0.275 0.726
0.538 0.725 0.274
0.538 0.775 0.774
0.822 0.116 0.439
0.822 0.384 0.939
0.063 0.721 0.076
0.063 0.779 0.576
0.087 0.109 0.199
0.087 0.391 0.699
0.217 0.027 0.931
0.217 0.473 0.431
0.295 0.665 0.001
0.295 0.835 0.501
0.400 0.102 0.299
0.400 0.398 0.799
0.407 0.225 0.599
0.407 0.275 0.099
0.593 0.725 0.901
0.593 0.775 0.401
0.600 0.602 0.201
0.600 0.898 0.701
0.705 0.165 0.499
0.705 0.335 0.999
0.783 0.527 0.569
0.783 0.973 0.069
0.913 0.609 0.301
0.913 0.891 0.801
0.937 0.221 0.424
0.937 0.279 0.924
```

***

no.,DFT formation energy (eV/atom)
1,-1.001
2,-1.293
3,-1.252
4,-1.246